1.
As8S9 | r2SCAN | relaxed

Geometry as POSCAR:
```
As8S9
1.0
10.152 0.000 0.000
0.000 9.938 0.000
-2.018 0.000 9.167
As S
16 18
Direct
0.022 0.230 0.440
0.022 0.770 0.940
0.166 0.417 0.350
0.166 0.583 0.850
0.377 0.032 0.681
0.377 0.968 0.181
0.442 0.317 0.933
0.442 0.683 0.433
0.558 0.317 0.567
0.558 0.683 0.067
0.623 0.032 0.819
0.623 0.968 0.319
0.834 0.417 0.150
0.834 0.583 0.650
0.978 0.230 0.060
0.978 0.770 0.560
0.000 0.089 0.250
0.000 0.441 0.750
0.000 0.559 0.250
0.000 0.911 0.750
0.181 0.324 0.137
0.181 0.676 0.637
0.285 0.169 0.824
0.285 0.831 0.324
0.392 0.166 0.492
0.392 0.834 0.992
0.500 0.436 0.750
0.500 0.564 0.250
0.608 0.166 0.008
0.608 0.834 0.508
0.715 0.169 0.676
0.715 0.831 0.176
0.819 0.324 0.363
0.819 0.676 0.863
```

M_tot (μB/f.u.): 0.00
Energy (eV/atom): -11.3310
Formation energy from the elements (kJ/mol of formula units): -257
SG: P2/c, No. 13

2.
Ca3MgC4O12 | r2SCAN | relaxed

Geometry as POSCAR:
```
Ca3MgC4O12
1.0
4.964 2.866 2.826
-4.964 2.866 2.826
0.000 -5.731 2.826
Ca Mg C O
3 1 4 12
Direct
0.000 0.487 0.513
0.487 0.513 0.000
0.513 0.000 0.487
0.000 0.000 0.000
0.014 0.986 0.500
0.500 0.014 0.986
0.500 0.500 0.500
0.986 0.500 0.014
0.022 0.865 0.641
0.114 0.500 0.886
0.135 0.978 0.359
0.359 0.135 0.978
0.371 0.500 0.629
0.500 0.629 0.371
0.500 0.886 0.114
0.629 0.371 0.500
0.641 0.022 0.865
0.865 0.641 0.022
0.886 0.114 0.500
0.978 0.359 0.135
```

M_tot (μB/f.u.): 0.00
Energy (eV/atom): -9.1085
ΔE to the lowest computed polymorph (meV per atom): 91.3
Formation energy from the elements (kJ/mol of formula units): -4383
SG: R32, No. 155

3.
Nd3GaO6 | r2SCAN | relaxed

Geometry as POSCAR:
```
Nd3GaO6
1.0
4.609 -5.776 0.000
4.609 5.776 0.000
0.000 0.000 5.604
Nd Ga O
6 2 12
Direct
0.104 0.896 0.500
0.201 0.413 0.544
0.413 0.201 0.044
0.587 0.799 0.544
0.799 0.587 0.044
0.896 0.104 0.000
0.308 0.692 0.078
0.692 0.308 0.578
0.085 0.606 0.245
0.146 0.173 0.274
0.173 0.146 0.774
0.285 0.715 0.752
0.394 0.915 0.245
0.458 0.542 0.208
0.542 0.458 0.708
0.606 0.085 0.745
0.715 0.285 0.252
0.827 0.854 0.274
0.854 0.827 0.774
0.915 0.394 0.745
```

M_tot (μB/f.u.): 0.00
Energy (eV/atom): -16.8794
Formation energy from the elements (kJ/mol of formula units): -3209
SG: Cmc2_1, No. 36

4.
V4GaS8 | r2SCAN | relaxed

Geometry as POSCAR:
```
V4GaS8
1.0
0.000 4.854 4.854
4.854 0.000 4.854
4.854 4.854 0.000
V Ga S
4 1 8
Direct
0.394 0.394 0.394
0.394 0.394 0.819
0.394 0.819 0.394
0.819 0.394 0.394
0.000 0.000 0.000
0.114 0.629 0.629
0.136 0.136 0.136
0.136 0.136 0.593
0.136 0.593 0.136
0.593 0.136 0.136
0.629 0.114 0.629
0.629 0.629 0.114
0.629 0.629 0.629
```

M_tot (μB/f.u.): 5.00
Energy (eV/atom): -11.2715
Formation energy from the elements (kJ/mol of formula units): -1395
SG: F-43m, No. 216

5.
PrEr3 | r2SCAN | relaxed

Geometry as POSCAR:
```
PrEr3
1.0
5.067 0.000 0.000
0.000 5.067 0.000
0.000 0.000 9.957
Pr Er
2 6
Direct
0.000 0.000 0.000
0.500 0.500 0.500
0.000 0.000 0.500
0.000 0.500 0.250
0.000 0.500 0.750
0.500 0.000 0.250
0.500 0.000 0.750
0.500 0.500 0.000
```

M_tot (μB/f.u.): 0.00
Energy (eV/atom): -32.7289
ΔE to the lowest computed polymorph (meV per atom): 42.4
Formation energy from the elements (kJ/mol of formula units): 26
SG: I4/mmm, No. 139

6.
PrIO9 | r2SCAN | relaxed

Geometry as POSCAR:
```
PrIO9
1.0
7.126 0.000 0.000
0.000 9.782 0.000
-6.966 0.000 9.246
Pr I O
4 4 36
Direct
0.238 0.106 0.487
0.238 0.394 0.987
0.762 0.606 0.013
0.762 0.894 0.513
0.098 0.723 0.843
0.098 0.777 0.343
0.902 0.223 0.657
0.902 0.277 0.157
0.011 0.101 0.586
0.011 0.399 0.086
0.104 0.145 0.850
0.104 0.355 0.350
0.152 0.688 0.219
0.152 0.812 0.719
0.194 0.181 0.268
0.194 0.319 0.768
0.249 0.657 0.485
0.249 0.843 0.985
0.340 0.598 0.907
0.340 0.902 0.407
0.403 0.067 0.143
0.403 0.433 0.643
0.434 0.193 0.185
0.434 0.307 0.685
0.490 0.021 0.755
0.490 0.479 0.255
0.510 0.521 0.745
0.510 0.979 0.245
0.566 0.693 0.315
0.566 0.807 0.815
0.597 0.567 0.357
0.597 0.933 0.857
0.660 0.098 0.593
0.660 0.402 0.093
0.751 0.157 0.015
0.751 0.343 0.515
0.806 0.681 0.232
0.806 0.819 0.732
0.848 0.188 0.281
0.848 0.312 0.781
0.896 0.645 0.650
0.896 0.855 0.150
0.989 0.601 0.914
0.989 0.899 0.414
```

M_tot (μB/f.u.): 2.00
Energy (eV/atom): -10.4022
Formation energy from the elements (kJ/mol of formula units): -647
SG: P2_1/c, No. 14

7.
Al2CuIr | r2SCAN | relaxed

Geometry as POSCAR:
```
Al2CuIr
1.0
5.070 0.000 0.000
0.000 8.056 0.000
0.000 0.000 5.203
Al Cu Ir
8 4 4
Direct
0.000 0.250 0.172
0.000 0.750 0.828
0.250 0.000 0.500
0.250 0.500 0.500
0.500 0.250 0.828
0.500 0.750 0.172
0.750 0.000 0.500
0.750 0.500 0.500
0.250 0.000 0.000
0.250 0.500 0.000
0.750 0.000 0.000
0.750 0.500 0.000
0.000 0.250 0.680
0.000 0.750 0.320
0.500 0.250 0.320
0.500 0.750 0.680
```

M_tot (μB/f.u.): 0.00
Energy (eV/atom): -19.9096
Formation energy from the elements (kJ/mol of formula units): -286
SG: Cmme, No. 67

8.
Er3Al2Ni6 | r2SCAN | relaxed

Geometry as POSCAR:
```
Er3Al2Ni6
1.0
-4.398 4.398 4.398
4.398 -4.398 4.398
4.398 4.398 -4.398
Er Al Ni
6 4 12
Direct
0.000 0.294 0.294
0.000 0.706 0.706
0.294 0.000 0.294
0.294 0.294 0.000
0.706 0.000 0.706
0.706 0.706 0.000
0.000 0.000 0.500
0.000 0.500 0.000
0.500 0.000 0.000
0.500 0.500 0.500
0.000 0.334 0.666
0.000 0.666 0.334
0.332 0.666 0.666
0.334 0.000 0.666
0.334 0.334 0.668
0.334 0.666 0.000
0.334 0.668 0.334
0.666 0.000 0.334
0.666 0.332 0.666
0.666 0.334 0.000
0.666 0.666 0.332
0.668 0.334 0.334
```

M_tot (μB/f.u.): 0.00
Energy (eV/atom): -17.5914
Formation energy from the elements (kJ/mol of formula units): -615
SG: Im-3m, No. 229

9.
Pr2MgCd | r2SCAN | relaxed

Geometry as POSCAR:
```
Pr2MgCd
1.0
7.775 0.000 0.000
0.000 7.775 0.000
0.000 0.000 7.775
Pr Mg Cd
8 4 4
Direct
0.250 0.250 0.250
0.250 0.250 0.750
0.250 0.750 0.250
0.250 0.750 0.750
0.750 0.250 0.250
0.750 0.250 0.750
0.750 0.750 0.250
0.750 0.750 0.750
0.000 0.000 0.000
0.000 0.500 0.500
0.500 0.000 0.500
0.500 0.500 0.000
0.000 0.000 0.500
0.000 0.500 0.000
0.500 0.000 0.000
0.500 0.500 0.500
```

M_tot (μB/f.u.): 0.00
Energy (eV/atom): -20.9992
Formation energy from the elements (kJ/mol of formula units): -88
SG: Fm-3m, No. 225

10.
NdIn2Cl5 | r2SCAN | relaxed

Geometry as POSCAR:
```
NdIn2Cl5
1.0
12.842 0.000 0.000
0.000 8.799 0.000
0.000 0.000 8.120
Nd In Cl
4 8 20
Direct
0.005 0.250 0.076
0.495 0.750 0.576
0.505 0.250 0.424
0.995 0.750 0.924
0.172 0.006 0.546
0.172 0.494 0.546
0.328 0.506 0.046
0.328 0.994 0.046
0.672 0.006 0.954
0.672 0.494 0.954
0.828 0.506 0.454
0.828 0.994 0.454
0.008 0.250 0.421
0.075 0.544 0.166
0.075 0.956 0.166
0.184 0.250 0.887
0.206 0.750 0.840
0.294 0.250 0.340
0.316 0.750 0.387
0.425 0.044 0.666
0.425 0.456 0.666
0.492 0.750 0.921
0.508 0.250 0.079
0.575 0.544 0.334
0.575 0.956 0.334
0.684 0.250 0.613
0.706 0.750 0.660
0.794 0.250 0.160
0.816 0.750 0.113
0.925 0.044 0.834
0.925 0.456 0.834
0.992 0.750 0.579
```

M_tot (μB/f.u.): 0.00
Energy (eV/atom): -14.9184
Formation energy from the elements (kJ/mol of formula units): -1352
SG: Pnma, No. 62

11.
PmTlRh2 | r2SCAN | relaxed

Geometry as POSCAR:
```
PmTlRh2
1.0
6.742 0.000 0.000
0.000 6.742 0.000
0.000 0.000 6.742
Pm Tl Rh
4 4 8
Direct
0.000 0.000 0.000
0.000 0.500 0.500
0.500 0.000 0.500
0.500 0.500 0.000
0.000 0.000 0.500
0.000 0.500 0.000
0.500 0.000 0.000
0.500 0.500 0.500
0.250 0.250 0.250
0.250 0.250 0.750
0.250 0.750 0.250
0.250 0.750 0.750
0.750 0.250 0.250
0.750 0.250 0.750
0.750 0.750 0.250
0.750 0.750 0.750
```

M_tot (μB/f.u.): 0.00
Energy (eV/atom): -33.2633
Formation energy from the elements (kJ/mol of formula units): -199
SG: Fm-3m, No. 225

12.
SmSi2Au2 | r2SCAN | relaxed

Geometry as POSCAR:
```
SmSi2Au2
1.0
4.295 0.000 0.000
0.000 4.295 0.000
0.000 0.000 10.154
Sm Si Au
2 4 4
Direct
0.000 0.000 0.000
0.500 0.500 0.500
0.000 0.000 0.386
0.000 0.000 0.614
0.500 0.500 0.114
0.500 0.500 0.886
0.000 0.500 0.250
0.000 0.500 0.750
0.500 0.000 0.250
0.500 0.000 0.750
```

M_tot (μB/f.u.): 0.00
Energy (eV/atom): -30.3400
Formation energy from the elements (kJ/mol of formula units): -314
SG: I4/mmm, No. 139

13.
ScSnAu | r2SCAN | relaxed

Geometry as POSCAR:
```
ScSnAu
1.0
6.472 0.000 0.000
0.000 6.472 0.000
0.000 0.000 6.472
Sc Sn Au
4 4 4
Direct
0.000 0.000 0.000
0.000 0.500 0.500
0.500 0.000 0.500
0.500 0.500 0.000
0.000 0.000 0.500
0.000 0.500 0.000
0.500 0.000 0.000
0.500 0.500 0.500
0.250 0.250 0.750
0.250 0.750 0.250
0.750 0.250 0.250
0.750 0.750 0.750
```

M_tot (μB/f.u.): 0.00
Energy (eV/atom): -29.7631
Formation energy from the elements (kJ/mol of formula units): -247
SG: F-43m, No. 216

14.
ThFe4P12 | r2SCAN | relaxed

Geometry as POSCAR:
```
ThFe4P12
1.0
-3.886 3.886 3.886
3.886 -3.886 3.886
3.886 3.886 -3.886
Th Fe P
1 4 12
Direct
0.000 0.000 0.000
0.000 0.000 0.500
0.000 0.500 0.000
0.500 0.000 0.000
0.500 0.500 0.500
0.152 0.503 0.352
0.152 0.800 0.648
0.200 0.352 0.848
0.352 0.152 0.503
0.352 0.848 0.200
0.497 0.648 0.848
0.503 0.352 0.152
0.648 0.152 0.800
0.648 0.848 0.497
0.800 0.648 0.152
0.848 0.200 0.352
0.848 0.497 0.648
```

M_tot (μB/f.u.): 0.00
Energy (eV/atom): -14.6522
Formation energy from the elements (kJ/mol of formula units): -958
SG: Im-3, No. 204

15.
GdSnF7 | r2SCAN | relaxed

Geometry as POSCAR:
```
GdSnF7
1.0
8.989 0.000 0.000
0.000 5.614 0.000
-5.643 0.000 10.707
Gd Sn F
4 4 28
Direct
0.187 0.241 0.265
0.187 0.259 0.765
0.813 0.741 0.235
0.813 0.759 0.735
0.273 0.744 0.043
0.273 0.756 0.543
0.727 0.244 0.457
0.727 0.256 0.957
0.025 0.739 0.946
0.025 0.761 0.446
0.035 0.592 0.732
0.035 0.908 0.232
0.256 0.548 0.173
0.256 0.952 0.673
0.271 0.027 0.139
0.271 0.473 0.639
0.282 0.051 0.456
0.282 0.449 0.956
0.290 0.551 0.417
0.290 0.949 0.917
0.481 0.231 0.360
0.481 0.269 0.860
0.519 0.731 0.140
0.519 0.769 0.640
0.710 0.051 0.083
0.710 0.449 0.583
0.718 0.551 0.044
0.718 0.949 0.544
0.729 0.527 0.361
0.729 0.973 0.861
0.744 0.048 0.327
0.744 0.452 0.827
0.965 0.092 0.768
0.965 0.408 0.268
0.975 0.239 0.554
0.975 0.261 0.054
```

M_tot (μB/f.u.): 7.00
Energy (eV/atom): -13.4501
Formation energy from the elements (kJ/mol of formula units): -2994
SG: P2_1/c, No. 14

16.
LuSi | r2SCAN | relaxed

Geometry as POSCAR:
```
LuSi
1.0
4.155 0.000 0.000
0.000 10.261 0.000
0.000 0.000 3.744
Lu Si
4 4
Direct
0.000 0.141 0.250
0.000 0.859 0.750
0.500 0.359 0.750
0.500 0.641 0.250
0.000 0.422 0.250
0.000 0.578 0.750
0.500 0.078 0.750
0.500 0.922 0.250
```

M_tot (μB/f.u.): 0.00
Energy (eV/atom): -24.2862
Formation energy from the elements (kJ/mol of formula units): -166
SG: Cmcm, No. 63

17.
Ba3Si4P6 | r2SCAN | relaxed

Geometry as POSCAR:
```
Ba3Si4P6
1.0
7.565 0.000 0.000
0.000 7.356 0.000
-1.888 0.000 11.470
Ba Si P
6 8 12
Direct
0.002 0.250 0.006
0.092 0.750 0.363
0.412 0.250 0.647
0.588 0.750 0.353
0.908 0.250 0.637
0.998 0.750 0.994
0.175 0.750 0.703
0.323 0.250 0.297
0.477 0.579 0.910
0.477 0.921 0.910
0.523 0.079 0.090
0.523 0.421 0.090
0.677 0.750 0.703
0.825 0.250 0.297
0.103 0.250 0.411
0.204 0.503 0.818
0.204 0.997 0.818
0.295 0.003 0.182
0.295 0.497 0.182
0.397 0.750 0.588
0.603 0.250 0.412
0.705 0.503 0.818
0.705 0.997 0.818
0.796 0.003 0.182
0.796 0.497 0.182
0.897 0.750 0.589
```

M_tot (μB/f.u.): 0.00
Energy (eV/atom): -13.7349
Formation energy from the elements (kJ/mol of formula units): -960
SG: P2_1/m, No. 11